(1)
Below is crystalline GdCu4Pd at its relaxed geometry, with properties calculated at the GGA-PBE level.

The structure belongs to space group F-43m (No. 216); the cell edges are 7.111, 7.111 and 7.111 Å and the angles 90.00°, 90.00° and 90.00°. The inequivalent atoms are Gd at (0.000, 0.000, 0.000), Cu at (0.124, 0.124, 0.624) and Pd at (0.250, 0.250, 0.250).

The energy relative to the lowest polymorph listed for this composition comes out at 0.000 eV per atom. Its energy of formation from the pure elements is -337.4 meV per atom.



(2)
Below is crystalline Lu3Ge13Os4 at its relaxed geometry, with properties calculated at the GGA-PBE level.

The structure belongs to space group Pm-3n (No. 223); the cell edges are 9.016, 9.016 and 9.016 Å and the angles 90.00°, 90.00° and 90.00°. The inequivalent atoms are Lu at (0.000, 0.250, 0.500), Ge at (0.000, 0.000, 0.000), Ge at (0.000, 0.303, 0.145) and Os at (0.250, 0.250, 0.250).

Its energy of formation from the pure elements is -310.3 meV per atom.



(3)
Below is crystalline MgSi2 at its relaxed geometry, with properties calculated at the GGA-PBE level.

The structure belongs to space group P-1 (No. 2); the cell edges are 3.612, 6.169 and 9.277 Å and the angles 84.83°, 89.15° and 88.77°. The inequivalent atoms are Mg at (0.247, 0.446, 0.208), Mg at (0.250, 0.853, 0.591), Si at (0.226, 0.873, 0.882), Si at (0.247, 0.373, 0.568), Si at (0.253, 0.861, 0.282) and Si at (0.279, 0.245, 0.937).

The energy relative to the lowest polymorph listed for this composition comes out at 0.145 eV per atom. Its energy of formation from the pure elements is 223.1 meV per atom.



(4)
Below is crystalline Na3Re at its relaxed geometry, with properties calculated at the GGA-PBE level.

The structure belongs to space group Fm-3m (No. 225); the cell edges are 7.458, 7.458 and 7.458 Å and the angles 90.00°, 90.00° and 90.00°. The inequivalent atoms are Na at (0.000, 0.000, 0.000), Na at (0.250, 0.250, 0.250) and Re at (0.000, 0.000, 0.500).

Its energy of formation from the pure elements is 1301.8 meV per atom.



(5)
Below is crystalline Ca5Ta4O15 at its relaxed geometry, with properties calculated at the GGA-PBE level.

The structure belongs to space group P-3c1 (No. 165); the cell edges are 5.5372, 5.5372 and 23.4555 Å and the angles 90.00°, 90.00° and 120.00°. The inequivalent atoms are Ca at (0.0000, 0.0000, 0.0000), Ca at (0.3333, 0.6667, 0.2310), Ca at (0.3333, 0.6667, 0.3813), Ta at (0.0000, 0.0000, 0.1565), Ta at (0.3333, 0.6667, 0.0522), O at (0.0000, 0.5000, 0.0000), O at (0.0780, 0.3380, 0.3066) and O at (0.0999, 0.3234, 0.5960).

The energy relative to the lowest polymorph listed for this composition comes out at 0.000 eV per atom. Its energy of formation from the pure elements is -3435.8 meV per atom.



(6)
Below is crystalline PuPd3 at its relaxed geometry, with properties calculated at the GGA-PBE level.

The structure belongs to space group Pm-3m (No. 221); the cell edges are 4.154, 4.154 and 4.154 Å and the angles 90.00°, 90.00° and 90.00°. The inequivalent atoms are Pu at (0.000, 0.000, 0.000) and Pd at (0.000, 0.500, 0.500).

Its energy of formation from the pure elements is -600.8 meV per atom.



(7)
Below is crystalline MgTl at its relaxed geometry, with properties calculated at the GGA-PBE level.

The structure belongs to space group Pm-3m (No. 221); the cell edges are 3.691, 3.691 and 3.691 Å and the angles 90.00°, 90.00° and 90.00°. The inequivalent atoms are Mg at (0.000, 0.000, 0.000) and Tl at (0.500, 0.500, 0.500).

Its energy of formation from the pure elements is -36.5 meV per atom.



(8)
Below is crystalline Tl3In at its relaxed geometry, with properties calculated at the GGA-PBE level.

The structure belongs to space group Pm-3m (No. 221); the cell edges are 4.930, 4.930 and 4.930 Å and the angles 90.00°, 90.00° and 90.00°. The inequivalent atoms are Tl at (0.000, 0.000, 0.500) and In at (0.500, 0.500, 0.500).

Its energy of formation from the pure elements is 31.4 meV per atom.



(9)
Below is crystalline U4Co at its relaxed geometry, with properties calculated at the GGA-PBE level.

The structure belongs to space group Fd-3m (No. 227, origin choice 2); the cell edges are 9.526, 9.526 and 9.526 Å and the angles 90.00°, 90.00° and 90.00°. The inequivalent atoms are U at (0.024, 0.024, 0.226) and Co at (0.125, 0.125, 0.625).

Its energy of formation from the pure elements is 697.5 meV per atom.



(10)
Below is crystalline LaRh3C at its relaxed geometry, with properties calculated at the GGA-PBE level.

The structure belongs to space group Pm-3m (No. 221); the cell edges are 4.267, 4.267 and 4.267 Å and the angles 90.00°, 90.00° and 90.00°. The inequivalent atoms are La at (0.000, 0.000, 0.000), Rh at (0.000, 0.500, 0.500) and C at (0.500, 0.500, 0.500).

Its energy of formation from the pure elements is -372.6 meV per atom.



(11)
Below is crystalline Rb3RuF6 at its relaxed geometry, with properties calculated at the GGA-PBE level.

The structure belongs to space group P-1 (No. 2); the cell edges are 6.994, 7.092 and 7.176 Å and the angles 100.14°, 108.16° and 100.12°. The inequivalent atoms are Rb at (0.000, 0.000, 0.000), Rb at (0.000, 0.500, 0.500), Rb at (0.500, 0.000, 0.500), Ru at (0.000, 0.000, 0.500), F at (0.026, 0.788, 0.288), F at (0.194, 0.200, 0.420) and F at (0.233, 0.930, 0.709).

Its energy of formation from the pure elements is -2544.2 meV per atom.



(12)
Below is crystalline BeZnO3 at its relaxed geometry, with properties calculated at the GGA-PBE level.

The structure belongs to space group Pm-3m (No. 221); the cell edges are 3.503, 3.503 and 3.503 Å and the angles 90.00°, 90.00° and 90.00°. The inequivalent atoms are Be at (0.000, 0.000, 0.000), Zn at (0.500, 0.500, 0.500) and O at (0.000, 0.000, 0.500).

Its energy of formation from the pure elements is -1192.4 meV per atom.



What did the ninth record say?
Below is crystalline U4Co at its relaxed geometry, with properties calculated at the GGA-PBE level.

The structure belongs to space group Fd-3m (No. 227, origin choice 2); the cell edges are 9.526, 9.526 and 9.526 Å and the angles 90.00°, 90.00° and 90.00°. The inequivalent atoms are U at (0.024, 0.024, 0.226) and Co at (0.125, 0.125, 0.625).

Its energy of formation from the pure elements is 697.5 meV per atom.



Look up the energy of formation from the pure elements of the first one.
-337.4 meV per atom